Density functional theory data (PBE-GGA) for crystalline TiVRu2 at its relaxed geometry.

a b c (Å): 4.3103 4.3103 4.3103
angles (deg): 60.00 60.00 60.00
Last column: nearest neighbours and their distance in Å.
Fractional positions:
Ti (0.0000, 0.0000, 0.0000)  8 Ru 2.64
V (0.5000, 0.5000, 0.5000)  8 Ru 2.64
Ru (0.2500, 0.2500, 0.2500)  4 V 2.64, 4 Ti 2.64
Ru (0.7500, 0.7500, 0.7500)  4 V 2.64, 4 Ti 2.64

## Properties
The calculation puts the formation energy from the elements at -47 kJ per mole of atoms.